Density functional theory data (r2SCAN) for KTe3Mo3 after structural relaxation. Values from VASP.

```
&SYSTEM
  ibrav = 0, nat = 14, ntyp = 3
/
ATOMIC_SPECIES
K 39.10 K.upf
Te 127.60 Te.upf
Mo 95.94 Mo.upf
CELL_PARAMETERS angstrom
0.795 1.253 -9.713
-6.436 -6.490 3.606
-3.221 3.283 0.160
ATOMIC_POSITIONS angstrom
K -4.831 -3.088 -0.794
K -4.031 1.134 -5.154
Te -0.905 0.881 -3.226
Te -1.979 0.060 -8.015
Te -4.376 -2.464 -4.459
Te -4.485 0.510 -1.488
Te -6.882 -2.014 2.067
Te -7.956 -2.835 -2.721
Mo -1.772 -0.092 -0.707
Mo -6.324 -4.731 2.869
Mo -6.397 -4.442 -4.543
Mo -2.465 2.488 -1.404
Mo -2.538 2.777 -8.816
Mo -7.089 -1.862 -5.241
```

Results
- SG: P6_3/m
- Total moment: 0.00 μB per cell
- Energy relative to the elements: -0.59 eV/atom
- Raw total energy: -23.516 eV per atom

***

Density functional theory data (r2SCAN) for GdTlPd after structural relaxation. Values from VASP.

```
&SYSTEM
  ibrav = 0, nat = 9, ntyp = 3
/
ATOMIC_SPECIES
Gd 157.25 Gd.upf
Tl 204.38 Tl.upf
Pd 106.42 Pd.upf
CELL_PARAMETERS angstrom
-1.744 6.724 -3.570
-4.397 -6.334 -1.240
-2.261 0.989 2.967
ATOMIC_POSITIONS angstrom
Gd -2.171 4.505 -0.645
Gd -3.609 0.652 -0.458
Gd -3.753 -3.283 0.744
Tl -0.461 1.778 -0.944
Tl -4.517 0.287 -3.538
Tl -1.162 -1.675 -0.328
Pd -3.513 -1.982 -2.017
Pd -2.628 2.371 -2.793
Pd -5.528 -5.840 0.243
```

Results
- SG: P-62m
- Total moment: 22.44 μB per cell
- Energy relative to the elements: -0.69 eV/atom
- Raw total energy: -40.537 eV per atom

***

Density functional theory data (r2SCAN) for Hg after structural relaxation. Values from VASP.

```
&SYSTEM
  ibrav = 0, nat = 3, ntyp = 1
/
ATOMIC_SPECIES
Hg 200.59 Hg.upf
CELL_PARAMETERS angstrom
-3.166 3.201 -3.100
2.520 -4.318 -2.212
-2.519 -1.823 0.690
ATOMIC_POSITIONS angstrom
Hg -0.635 -2.723 -2.163
Hg -2.530 -0.217 -2.459
Hg 0.000 0.000 0.000
```

Results
- Energy relative to the lowest polymorph listed for this composition: 0 kJ/mol of formula units
- SG: P6/mmm
- Total moment: 0.00 μB per cell
- Energy relative to the elements: 0.00 eV/atom
- Raw total energy: -49.365 eV per atom

***

Density functional theory data (r2SCAN) for PrIn5Co after structural relaxation. Values from VASP.

```
&SYSTEM
  ibrav = 0, nat = 7, ntyp = 3
/
ATOMIC_SPECIES
Pr 140.91 Pr.upf
In 114.82 In.upf
Co 58.93 Co.upf
CELL_PARAMETERS angstrom
-2.634 -0.830 3.677
-2.125 -3.377 -2.285
5.148 -4.974 2.565
ATOMIC_POSITIONS angstrom
Pr 0.000 0.000 0.000
In -2.379 -2.104 0.696
In 2.225 -3.837 3.603
In 2.480 -5.111 0.622
In 0.289 -1.966 2.638
In 0.543 -3.240 -0.342
Co 2.574 -2.487 1.282
```

Results
- SG: P4/mmm
- Total moment: 0.00 μB per cell
- Energy relative to the elements: -0.33 eV/atom
- Raw total energy: -22.553 eV per atom

***

Density functional theory data (r2SCAN) for SmCrO4 after structural relaxation. Values from VASP.

```
&SYSTEM
  ibrav = 0, nat = 12, ntyp = 3
/
ATOMIC_SPECIES
Sm 150.36 Sm.upf
Cr 52.00 Cr.upf
O 16.00 O.upf
CELL_PARAMETERS angstrom
-5.903 -0.142 -1.224
2.185 -4.563 3.281
0.904 4.985 3.270
ATOMIC_POSITIONS angstrom
Sm -0.170 0.834 4.044
Sm -2.644 -0.554 1.282
Cr -4.214 3.044 1.791
Cr 1.400 -2.764 3.535
O -0.859 1.072 1.793
O -3.953 1.369 1.776
O 0.155 3.250 3.735
O 0.205 -3.644 2.698
O 1.128 -1.083 3.555
O -1.947 -0.789 3.543
O -2.962 -2.982 1.589
O -3.022 3.926 2.615
```

Results
- SG: I-4m2
- Total moment: 2.00 μB per cell
- Energy relative to the elements: -2.81 eV/atom
- Raw total energy: -14.264 eV per atom

***

Density functional theory data (r2SCAN) for HoTaO4 after structural relaxation. Values from VASP.

```
&SYSTEM
  ibrav = 0, nat = 12, ntyp = 3
/
ATOMIC_SPECIES
Ho 164.93 Ho.upf
Ta 180.95 Ta.upf
O 16.00 O.upf
CELL_PARAMETERS angstrom
4.730 0.005 -1.772
-1.280 4.746 -1.980
-0.006 0.007 6.473
ATOMIC_POSITIONS angstrom
Ho 0.994 3.001 -0.223
Ho 2.449 1.756 2.945
Ta 3.899 0.491 -0.388
Ta -0.455 4.266 3.109
O -0.998 3.738 -1.157
O 2.298 1.310 -1.132
O 4.441 1.020 3.878
O 1.146 3.448 3.853
O 0.513 1.760 1.625
O 3.301 0.250 1.365
O 2.931 2.997 1.096
O 0.143 4.507 1.356
```

Results
- SG: C2/c
- Total moment: 0.00 μB per cell
- Energy relative to the elements: -3.58 eV/atom
- Raw total energy: -21.144 eV per atom

***

Density functional theory data (r2SCAN) for ThCo2As2 after structural relaxation. Values from VASP.

```
&SYSTEM
  ibrav = 0, nat = 10, ntyp = 3
/
ATOMIC_SPECIES
Th 232.04 Th.upf
Co 58.93 Co.upf
As 74.92 As.upf
CELL_PARAMETERS angstrom
-1.714 -3.784 -0.545
-0.054 -0.574 4.150
-8.433 3.762 0.411
ATOMIC_POSITIONS angstrom
Th -3.388 -2.348 2.804
Th -6.813 1.752 1.212
Co -1.299 -2.981 0.629
Co -0.469 -1.376 2.976
Co -6.484 -0.968 2.955
Co -3.718 0.372 1.061
As -5.516 -1.101 0.834
As -4.685 0.505 3.182
As -8.649 -0.002 3.060
As -1.553 -0.594 0.955
```

Results
- SG: P4/nmm
- Total moment: 1.45 μB per cell
- Energy relative to the elements: -0.79 eV/atom
- Raw total energy: -26.661 eV per atom

***

Density functional theory data (r2SCAN) for Li9Mn2Co5O16 after structural relaxation. Values from VASP.

```
&SYSTEM
  ibrav = 0, nat = 32, ntyp = 4
/
ATOMIC_SPECIES
Li 6.94 Li.upf
Mn 54.94 Mn.upf
Co 58.93 Co.upf
O 16.00 O.upf
CELL_PARAMETERS angstrom
-2.968 2.219 -4.246
-0.303 3.067 5.555
7.827 3.224 -0.044
ATOMIC_POSITIONS angstrom
Li -0.414 4.743 0.900
Li 3.078 2.185 -1.073
Li 1.064 3.671 3.042
Li 1.659 3.245 -3.111
Li 3.493 4.826 -1.777
Li 4.987 3.710 0.337
Li -0.845 2.156 1.640
Li -2.275 3.216 -0.412
Li 0.445 2.755 -0.743
Mn 0.019 0.035 -0.014
Mn -1.451 1.134 -2.117
Co 0.786 5.345 -1.484
Co 4.148 5.817 2.011
Co 1.872 1.582 1.388
Co 2.261 4.242 0.626
Co 2.666 6.927 -0.114
O 1.497 1.014 -0.440
O 1.954 3.864 -1.215
O -0.048 2.170 -2.650
O 3.347 2.685 0.935
O 5.252 4.292 2.309
O 3.771 5.400 0.189
O 5.645 6.952 1.558
O 7.140 5.861 3.683
O 0.813 3.137 1.165
O 1.207 5.816 0.326
O -0.747 4.303 -1.066
O 2.683 4.719 2.461
O 4.553 6.280 3.837
O 3.072 7.388 1.718
O -2.606 2.643 -2.408
O 6.650 4.691 -0.326
```

Results
- Energy relative to the lowest polymorph listed for this composition: 75 kJ/mol of formula units
- SG: P1
- Total moment: 6.00 μB per cell
- Energy relative to the elements: -1.93 eV/atom
- Raw total energy: -8.578 eV per atom

***

Density functional theory data (r2SCAN) for ErGe2Ir after structural relaxation. Values from VASP.

```
&SYSTEM
  ibrav = 0, nat = 16, ntyp = 3
/
ATOMIC_SPECIES
Er 167.26 Er.upf
Ge 72.64 Ge.upf
Ir 192.22 Ir.upf
CELL_PARAMETERS angstrom
4.701 -7.051 4.011
9.014 1.501 2.100
-9.222 1.386 0.985
ATOMIC_POSITIONS angstrom
Er 0.561 -3.974 3.754
Er 7.841 0.032 3.396
Er 3.933 -0.190 3.342
Er -3.348 -4.196 3.701
Ge -5.767 1.135 1.451
Ge 10.260 -5.299 5.645
Ge 2.423 -2.179 5.100
Ge 2.071 -1.985 1.997
Ge -1.317 -1.813 4.507
Ge 3.542 -5.180 5.083
Ge 0.952 1.016 2.013
Ge 5.811 -2.351 2.590
Ir 3.738 -3.391 3.422
Ir 0.755 -0.773 3.675
Ir 7.712 -4.998 5.192
Ir -3.218 0.834 1.904
```

Results
- SG: Immm
- Total moment: 0.00 μB per cell
- Energy relative to the elements: -0.87 eV/atom
- Raw total energy: -29.379 eV per atom

***

Density functional theory data (r2SCAN) for Sc11Os4 after structural relaxation. Values from VASP.

```
&SYSTEM
  ibrav = 0, nat = 30, ntyp = 2
/
ATOMIC_SPECIES
Sc 44.96 Sc.upf
Os 190.23 Os.upf
CELL_PARAMETERS angstrom
8.177 0.000 4.721
2.726 7.710 4.721
0.000 0.000 9.443
ATOMIC_POSITIONS angstrom
Sc 9.210 6.512 15.952
Sc 1.694 1.198 6.509
Sc 2.726 4.117 4.721
Sc 4.790 1.198 4.721
Sc 8.178 3.593 14.164
Sc 6.113 6.512 14.164
Sc 9.210 6.512 12.376
Sc 1.694 1.198 2.933
Sc 7.094 1.533 6.598
Sc 8.736 6.177 9.443
Sc 2.168 1.533 9.443
Sc 7.094 1.533 12.287
Sc 3.810 6.177 6.598
Sc 3.810 6.177 12.287
Sc 4.176 2.953 7.233
Sc 6.728 4.757 7.233
Sc 2.900 4.757 9.443
Sc 5.452 1.148 9.443
Sc 8.004 2.953 9.443
Sc 5.452 6.562 9.443
Sc 4.176 2.953 11.653
Sc 6.728 4.757 11.653
Os 4.089 0.000 7.082
Os 1.363 3.855 2.361
Os 1.363 3.855 7.082
Os 5.452 3.855 4.721
Os 0.000 0.000 4.721
Os 4.089 0.000 2.361
Os 5.452 3.855 9.443
Os 0.000 0.000 0.000
```

Results
- SG: Fm-3m
- Total moment: 0.00 μB per cell
- Energy relative to the elements: -0.41 eV/atom
- Raw total energy: -22.894 eV per atom

***

Density functional theory data (r2SCAN) for HoUTe6 after structural relaxation. Values from VASP.

```
&SYSTEM
  ibrav = 0, nat = 8, ntyp = 3
/
ATOMIC_SPECIES
Ho 164.93 Ho.upf
U 238.03 U.upf
Te 127.60 Te.upf
CELL_PARAMETERS angstrom
2.180 -13.056 0.000
2.180 13.056 0.000
0.000 0.000 4.367
ATOMIC_POSITIONS angstrom
Ho 2.180 8.620 2.184
U 2.180 -8.639 0.000
Te 2.180 1.965 0.000
Te 2.180 -1.975 2.184
Te 2.180 -5.372 0.000
Te 2.180 5.405 2.184
Te 2.180 11.087 0.000
Te 2.180 -11.091 2.184
```

Results
- SG: Amm2
- Total moment: 2.55 μB per cell
- Energy relative to the elements: -0.93 eV/atom
- Raw total energy: -34.098 eV per atom

***

Density functional theory data (r2SCAN) for LiEuAs after structural relaxation. Values from VASP.

```
&SYSTEM
  ibrav = 0, nat = 12, ntyp = 3
/
ATOMIC_SPECIES
Li 6.94 Li.upf
Eu 151.96 Eu.upf
As 74.92 As.upf
CELL_PARAMETERS angstrom
4.449 0.000 0.000
0.000 7.453 0.000
0.000 0.000 7.947
ATOMIC_POSITIONS angstrom
Li 1.112 1.170 7.378
Li 1.112 4.895 4.543
Li 3.337 6.283 0.569
Li 3.337 2.558 3.404
Eu 1.112 0.069 2.354
Eu 1.112 3.794 1.622
Eu 3.337 7.384 5.593
Eu 3.337 3.659 6.325
As 1.112 2.044 4.737
As 1.112 5.772 7.183
As 3.337 5.409 3.210
As 3.337 1.681 0.764
```

Results
- SG: Pnma
- Total moment: 28.00 μB per cell
- Energy relative to the elements: -1.22 eV/atom
- Raw total energy: -19.758 eV per atom

***

Density functional theory data (r2SCAN) for Te after structural relaxation. Values from VASP.

```
&SYSTEM
  ibrav = 0, nat = 3, ntyp = 1
/
ATOMIC_SPECIES
Te 127.60 Te.upf
CELL_PARAMETERS angstrom
4.601 0.000 -0.002
-2.300 3.985 0.002
-0.003 0.001 5.900
ATOMIC_POSITIONS angstrom
Te 1.180 0.001 1.968
Te -0.592 1.024 3.932
Te 1.710 2.962 0.000
```

Results
- Energy relative to the lowest polymorph listed for this composition: 0 kJ/mol of formula units
- SG: P3_121
- Total moment: 0.00 μB per cell
- Energy relative to the elements: 0.00 eV/atom
- Raw total energy: -25.417 eV per atom

***

Density functional theory data (r2SCAN) for Lu3Ni2Ge3 after structural relaxation. Values from VASP.

```
&SYSTEM
  ibrav = 0, nat = 16, ntyp = 3
/
ATOMIC_SPECIES
Lu 174.97 Lu.upf
Ni 58.69 Ni.upf
Ge 72.64 Ge.upf
CELL_PARAMETERS angstrom
2.058 -5.006 0.000
2.058 5.006 0.000
0.000 0.000 13.746
ATOMIC_POSITIONS angstrom
Lu 2.058 -0.882 8.366
Lu 2.058 0.882 5.380
Lu 2.058 0.882 1.493
Lu 2.058 -0.882 12.253
Lu 2.058 3.647 3.436
Lu 2.058 -3.647 10.309
Ni 2.058 2.009 8.260
Ni 2.058 -2.009 5.486
Ni 2.058 -2.009 1.387
Ni 2.058 2.009 12.359
Ge 2.058 -3.786 7.400
Ge 2.058 3.786 6.346
Ge 2.058 3.394 10.309
Ge 2.058 -3.394 3.436
Ge 2.058 -3.786 13.218
Ge 2.058 3.786 0.527
```

Results
- SG: Cmcm
- Total moment: 0.00 μB per cell
- Energy relative to the elements: -0.88 eV/atom
- Raw total energy: -23.360 eV per atom

***

Density functional theory data (r2SCAN) for GdZnRh after structural relaxation. Values from VASP.

```
&SYSTEM
  ibrav = 0, nat = 12, ntyp = 3
/
ATOMIC_SPECIES
Gd 157.25 Gd.upf
Zn 65.41 Zn.upf
Rh 102.91 Rh.upf
CELL_PARAMETERS angstrom
-0.587 -1.107 -3.852
2.702 -6.248 1.383
-7.369 -2.762 1.917
ATOMIC_POSITIONS angstrom
Gd -2.370 -1.382 -0.306
Gd -0.055 -4.144 0.134
Gd -2.884 -8.735 -0.245
Gd -5.199 -5.973 -0.686
Zn -2.574 -5.807 0.996
Zn -6.684 -3.718 1.023
Zn -2.680 -4.310 -1.548
Zn 1.430 -6.399 -1.574
Rh -4.037 -3.605 0.586
Rh -4.568 -7.434 1.768
Rh -1.217 -6.512 -1.138
Rh -0.687 -2.683 -2.319
```

Results
- SG: Pnma
- Total moment: 28.86 μB per cell
- Energy relative to the elements: -0.71 eV/atom
- Raw total energy: -26.189 eV per atom

***

Density functional theory data (r2SCAN) for ThOs2 after structural relaxation. Values from VASP.

```
&SYSTEM
  ibrav = 0, nat = 6, ntyp = 2
/
ATOMIC_SPECIES
Th 232.04 Th.upf
Os 190.23 Os.upf
CELL_PARAMETERS angstrom
4.720 0.000 2.725
1.573 4.450 2.725
0.000 0.000 5.450
ATOMIC_POSITIONS angstrom
Th 5.506 3.893 9.537
Th 0.787 0.556 1.362
Os 2.360 0.000 4.087
Os 0.787 2.225 4.087
Os 3.146 2.225 5.450
Os 3.146 2.225 2.725
```

Results
- SG: Fd-3m
- Total moment: 0.00 μB per cell
- Energy relative to the elements: -0.28 eV/atom
- Raw total energy: -60.098 eV per atom

***

Density functional theory data (r2SCAN) for NdTlTe2 after structural relaxation. Values from VASP.

```
&SYSTEM
  ibrav = 0, nat = 4, ntyp = 3
/
ATOMIC_SPECIES
Nd 144.24 Nd.upf
Tl 204.38 Tl.upf
Te 127.60 Te.upf
CELL_PARAMETERS angstrom
-2.290 -3.967 0.000
-4.581 0.000 0.000
-2.290 -1.322 -8.106
ATOMIC_POSITIONS angstrom
Nd 0.000 0.000 0.000
Tl -4.581 -2.645 -4.053
Te -6.871 -3.967 -6.311
Te -2.290 -1.322 -1.795
```

Results
- SG: R-3m
- Total moment: 0.00 μB per cell
- Energy relative to the elements: -1.28 eV/atom
- Raw total energy: -34.635 eV per atom

***

Density functional theory data (r2SCAN) for TmAl3C3 after structural relaxation. Values from VASP.

```
&SYSTEM
  ibrav = 0, nat = 14, ntyp = 3
/
ATOMIC_SPECIES
Tm 168.93 Tm.upf
Al 26.98 Al.upf
C 12.01 C.upf
CELL_PARAMETERS angstrom
3.396 0.000 0.000
-1.698 2.941 0.000
0.000 0.000 17.113
ATOMIC_POSITIONS angstrom
Tm 0.000 0.000 0.000
Tm 0.000 0.000 8.556
Al 0.000 1.960 2.277
Al 1.698 0.980 4.278
Al 0.000 1.960 6.279
Al 1.698 0.980 10.834
Al 0.000 1.960 12.834
Al 1.698 0.980 14.835
C 1.698 0.980 1.566
C 0.000 1.960 4.278
C 1.698 0.980 6.990
C 0.000 1.960 10.123
C 1.698 0.980 12.834
C 0.000 1.960 15.546
```

Results
- SG: P6_3/mmc
- Total moment: 0.00 μB per cell
- Energy relative to the elements: -0.49 eV/atom
- Raw total energy: -12.656 eV per atom

***

Density functional theory data (r2SCAN) for Ho3In5 after structural relaxation. Values from VASP.

```
&SYSTEM
  ibrav = 0, nat = 16, ntyp = 2
/
ATOMIC_SPECIES
Ho 164.93 Ho.upf
In 114.82 In.upf
CELL_PARAMETERS angstrom
4.897 4.007 0.000
-4.897 4.007 0.000
0.000 0.000 10.308
ATOMIC_POSITIONS angstrom
Ho 0.000 4.979 2.577
Ho 0.000 3.034 7.731
Ho 2.902 4.007 5.154
Ho 2.902 4.007 0.000
Ho -2.902 4.007 5.154
Ho -2.902 4.007 0.000
In 0.000 0.052 2.577
In 0.000 7.962 7.731
In 0.000 2.469 0.461
In 0.000 5.544 9.847
In 0.000 2.469 4.693
In 0.000 5.544 5.615
In -2.127 2.338 2.577
In -2.127 5.676 7.731
In 2.127 5.676 7.731
In 2.127 2.338 2.577
```

Results
- SG: Cmcm
- Total moment: 0.00 μB per cell
- Energy relative to the elements: -0.58 eV/atom
- Raw total energy: -27.024 eV per atom

***

Density functional theory data (r2SCAN) for Pa3Al after structural relaxation. Values from VASP.

```
&SYSTEM
  ibrav = 0, nat = 4, ntyp = 2
/
ATOMIC_SPECIES
Pa 231.04 Pa.upf
Al 26.98 Al.upf
CELL_PARAMETERS angstrom
4.484 -2.277 -2.234
2.976 -2.408 3.954
-5.332 -0.374 -1.308
ATOMIC_POSITIONS angstrom
Pa 1.441 -2.496 -1.341
Pa 0.687 -2.562 1.753
Pa 3.730 -2.342 0.860
Al 0.000 0.000 0.000
```

Results
- Energy relative to the lowest polymorph listed for this composition: 0 kJ/mol of formula units
- SG: I4/mmm
- Total moment: 0.00 μB per cell
- Energy relative to the elements: -0.14 eV/atom
- Raw total energy: -59.463 eV per atom